First-principles (GGA-PBE) data for a geometry-optimized LiHPd structure, as listed in the Materials Project database.

Results
Its formation enthalpy at 0 K is -0.1530 eV/atom. As for the energy above the most stable polymorph in this dataset: 0.250 eV per atom. Its raw total energy is -10.94 eV/f.u.

Cell lengths 2.771, 2.771, 4.844 Å; angles 90.00, 90.00, 90.00 degrees
Atoms (fractional coordinates):
Li: 0.000 0.000 0.000
H: 0.500 0.500 0.500
Pd: 0.000 0.000 0.500